Material: Sr4MgMn2Ga2O11
Method: DFT, PBE+U
State: optimized geometry

Cell and atoms, written as POSCAR:
```
Sr4MgMn2Ga2O11
1.0
5.614 0.000 0.000
0.136 5.624 0.000
2.611 2.683 8.361
Sr Mg Mn Ga O
4 1 2 2 11
Cartesian
1.367 1.359 2.162 Sr
4.026 4.075 6.877 Sr
4.335 4.232 1.484 Sr
6.994 6.949 6.199 Sr
4.181 4.154 4.180 Mg
1.373 4.154 4.180 Mn
4.113 1.341 4.180 Mn
1.460 4.272 0.002 Ga
6.901 4.035 8.359 Ga
0.000 0.000 0.000 O
0.068 2.812 0.000 O
1.772 3.913 1.908 O
2.795 2.868 4.649 O
2.825 5.605 4.173 O
4.438 6.597 6.480 O
2.807 0.000 0.000 O
3.923 1.710 1.881 O
5.536 2.702 4.188 O
5.566 5.439 3.712 O
6.589 4.394 6.453 O
```

SG: P-1, No. 2



Material: Sr4MgMn2Ga2O11
Method: DFT, PBE+U
State: optimized geometry

Cell and atoms, written as POSCAR:
```
Sr4MgMn2Ga2O11
1.0
5.681 0.000 0.000
0.676 6.375 0.000
2.707 2.775 7.583
Sr Mg Mn Ga O
4 1 2 2 11
Cartesian
0.000 0.000 0.000 Sr
2.337 1.752 4.083 Sr
2.198 2.802 0.498 Sr
5.579 5.262 3.853 Sr
4.915 4.157 0.688 Mg
2.746 5.595 2.130 Mn
4.975 1.968 2.332 Mn
2.564 5.197 5.841 Ga
5.426 2.673 5.921 Ga
3.004 6.933 6.481 O
1.009 1.144 1.983 O
2.394 5.724 4.070 O
4.204 4.155 6.088 O
3.867 3.612 2.400 O
6.033 8.083 7.555 O
4.341 6.670 2.279 O
5.065 1.712 4.352 O
4.784 2.230 0.347 O
7.024 3.612 5.546 O
6.707 4.607 1.740 O
```

SG: P1, No. 1



Material: Sr4MgMn2Ga2O11
Method: DFT, PBE+U
State: optimized geometry

Cell and atoms, written as POSCAR:
```
Sr4MgMn2Ga2O11
1.0
4.056 -4.250 0.000
4.056 4.250 0.000
-4.049 0.000 7.848
Sr Mg Mn Ga O
4 1 2 2 11
Cartesian
0.003 0.000 2.128 Sr
0.004 -0.132 5.487 Sr
4.059 -0.132 2.361 Sr
4.059 0.000 5.720 Sr
4.056 -1.642 0.000 Mg
2.031 2.054 3.924 Mn
2.031 -2.198 3.924 Mn
-1.549 1.824 7.843 Ga
5.612 1.824 0.005 Ga
2.031 4.160 3.924 O
0.008 2.092 4.229 O
1.420 2.003 1.518 O
4.056 2.885 0.000 O
2.885 0.030 0.001 O
4.055 2.092 3.618 O
2.643 2.003 6.330 O
2.031 -0.043 3.924 O
1.177 0.030 7.846 O
2.622 -2.244 1.540 O
1.441 -2.244 6.307 O
```

SG: C2, No. 5



Material: MgGaMo4O7
Method: DFT, PBE+U
State: optimized geometry

Cell and atoms, written as POSCAR:
```
MgGaMo4O7
1.0
-2.915 3.072 8.452
2.915 -3.072 8.452
2.915 3.072 -8.452
Mg Ga Mo O
2 2 8 14
Cartesian
0.000 0.000 0.000 Mg
0.000 3.072 0.000 Mg
2.915 1.536 0.932 Ga
0.000 1.536 7.520 Ga
1.586 1.536 -2.318 Mo
4.244 1.536 -2.318 Mo
2.915 2.952 -4.287 Mo
2.915 -0.120 4.287 Mo
0.000 3.192 4.165 Mo
0.000 0.120 12.739 Mo
-1.329 1.536 10.770 Mo
1.329 1.536 10.770 Mo
2.915 2.920 -6.355 O
2.915 0.103 2.149 O
1.414 1.536 -0.133 O
1.501 -1.536 8.319 O
2.915 -0.152 6.355 O
0.000 0.103 6.303 O
-1.457 1.536 4.226 O
1.457 1.536 4.226 O
2.915 2.968 2.149 O
0.000 3.224 2.097 O
1.414 4.608 0.133 O
1.501 1.536 8.585 O
0.000 2.968 6.303 O
0.000 0.152 14.807 O
```

SG: Imma, No. 74



Material: Sr2MnGaO5
Method: DFT, PBE+U
State: optimized geometry

Cell and atoms, written as POSCAR:
```
Sr2MnGaO5
1.0
5.192 0.000 -1.634
-0.544 5.313 -1.729
4.643 5.277 14.752
O Mn Sr Ga
20 4 8 4
Cartesian
5.761 6.579 4.771 O
5.708 1.033 0.474 O
3.163 6.602 5.581 O
5.759 6.561 13.829 O
7.539 8.458 6.293 O
7.846 5.939 8.982 O
3.498 4.007 -2.420 O
3.495 3.988 6.637 O
2.894 3.163 0.599 O
5.161 6.328 7.803 O
0.900 4.030 -1.611 O
5.386 4.651 1.166 O
8.506 9.557 9.365 O
5.384 4.633 10.224 O
2.657 5.957 1.559 O
6.675 2.132 3.546 O
8.353 6.583 13.004 O
6.128 7.427 10.875 O
6.089 4.011 5.813 O
3.861 4.262 3.671 O
9.267 10.590 11.397 Mn
2.298 2.657 -1.673 Mn
4.622 5.294 5.703 Mn
7.487 2.639 5.750 Mn
6.175 9.910 10.576 Sr
4.899 8.460 6.520 Sr
9.026 7.425 10.567 Sr
7.749 5.975 6.512 Sr
3.104 0.680 0.817 Sr
5.445 3.165 -0.809 Sr
4.380 2.131 4.873 Sr
6.722 4.615 3.247 Sr
3.618 4.320 10.892 Ga
6.016 6.251 9.447 Ga
0.826 6.270 2.023 Ga
3.620 4.338 1.834 Ga
```



Material: Sr2MnGaO5
Method: DFT, PBE+U
State: optimized geometry

Cell and atoms, written as POSCAR:
```
Sr2MnGaO5
1.0
0.000 -5.536 -5.478
-8.217 2.791 -2.764
0.000 5.581 -5.528
Ga O Mn Sr
4 20 4 8
Cartesian
-4.108 -0.340 -5.893 Ga
-4.109 -2.383 -7.852 Ga
-4.109 3.176 -7.876 Ga
-4.108 5.218 -5.918 Ga
-5.815 2.615 -2.859 O
-8.104 4.197 -6.897 O
-4.108 -2.276 -5.899 O
-5.814 0.198 -5.408 O
-5.814 0.221 -10.911 O
-2.402 2.638 -8.362 O
-4.108 3.283 -5.924 O
-2.402 0.221 -10.911 O
-0.034 -1.350 -9.624 O
-0.113 4.197 -6.897 O
-8.183 4.209 -9.649 O
-8.183 4.186 -4.146 O
-4.108 -0.447 -7.846 O
-4.108 5.111 -7.871 O
-5.815 2.637 -8.362 O
-2.402 0.199 -5.408 O
-0.034 -1.372 -4.121 O
-8.104 -1.361 -6.873 O
-0.113 -1.361 -6.872 O
-2.403 2.615 -2.859 O
-8.216 2.813 -8.267 Mn
-8.216 0.046 -11.006 Mn
-0.001 0.046 -11.006 Mn
-0.001 2.813 -8.267 Mn
-1.830 2.714 -5.441 Sr
-1.830 0.099 -2.826 Sr
-6.387 0.121 -8.328 Sr
-1.830 0.121 -8.328 Sr
-6.387 5.680 -8.353 Sr
-6.387 2.714 -5.441 Sr
-1.830 -2.843 -5.417 Sr
-6.387 2.738 -10.945 Sr
```



Material: Sr2MnGaO5
Method: DFT, PBE+U
State: optimized geometry

Cell and atoms, written as POSCAR:
```
Sr2MnGaO5
1.0
3.867 -8.267 0.000
3.867 8.267 0.000
-3.836 0.000 3.923
Sr Mn Ga O
4 2 2 10
Cartesian
0.009 2.288 1.852 Sr
0.009 -2.288 1.852 Sr
3.890 2.288 2.071 Sr
3.890 -2.288 2.071 Sr
1.934 4.134 0.000 Mn
1.934 -4.134 0.000 Mn
-1.380 0.000 3.901 Ga
5.279 0.000 0.022 Ga
-2.088 1.715 3.875 O
1.950 4.103 1.962 O
3.867 4.036 0.000 O
-2.088 -1.715 3.875 O
0.061 0.000 2.583 O
3.838 0.000 1.340 O
5.987 1.715 0.048 O
3.867 -4.036 0.000 O
1.950 -4.103 1.962 O
5.987 -1.715 0.048 O
```

SG: C2/m, No. 12



Material: Sr2MnGaO5
Method: DFT, PBE+U
State: optimized geometry

Cell and atoms, written as POSCAR:
```
Sr2MnGaO5
1.0
5.471 0.000 0.000
-0.020 5.643 0.000
-2.716 -2.801 8.054
Sr Mn Ga O
4 2 2 10
Cartesian
0.000 0.000 0.000 Sr
0.005 -0.204 3.591 Sr
2.732 2.630 0.005 Sr
2.737 2.808 3.587 Sr
0.019 2.720 1.796 Mn
2.764 -0.103 1.797 Mn
-0.189 2.334 5.793 Ga
2.552 0.304 5.852 Ga
0.114 2.967 4.061 O
1.364 4.130 1.691 O
1.390 1.286 1.921 O
0.669 0.634 5.817 O
0.175 -2.589 7.458 O
2.904 -0.414 4.186 O
4.102 4.127 1.667 O
4.130 1.336 1.903 O
3.399 2.006 5.827 O
2.861 -0.328 7.584 O
```

SG: P1, No. 1



| no. | energy relative to the elements (eV per atom) |
| --- | --- |
| 1 | -2.466 |
| 2 | -2.558 |
| 3 | -2.524 |
| 4 | -1.608 |
| 5 | -2.677 |
| 6 | -2.655 |
| 7 | -2.657 |
| 8 | -2.673 |